Compound: LiDyAu2
Source: Materials Project
Functional: PBE
Structure: relaxed

Cell lengths 4.8635, 4.8635, 4.8635 Å; angles 60.00, 60.00, 60.00 degrees
Atoms (fractional coordinates):
Li  0.0000  0.0000  0.0000
Dy  0.5000  0.5000  0.5000
Au  0.7500  0.7500  0.7500
Au  0.2500  0.2500  0.2500

Output
V   20.34 Å³ per atom
Calculated total energy   -15.925 eV for the cell shown
SG   Fm-3m (225)